# 1
# CeCdAu2

A geometry-optimized CeCdAu2 structure (PBE-GGA, Materials Project).

abc: 7.1157 7.1157 7.1157
angles: 90.00 90.00 90.00
Closest atoms and distances in Å follow each position.
Space group Fm-3m (No. 225)
Unique sites:
Ce  0.0000  0.0000  0.0000 (multiplicity 4)  8 Au 3.08
Cd  0.0000  0.0000  0.5000 (multiplicity 4)  8 Au 3.08
Au  0.2500  0.2500  0.2500 (multiplicity 8)  4 Cd 3.08, 4 Ce 3.08

E_form ... -0.580 eV per atom
Theoretical density ... 11.92 g/cm3
Calculated volume ... 90.07 Å³/f.u.

---

# 2
# CaHgC4S4N4O3

A geometry-optimized CaHgC4S4N4O3 structure (PBE-GGA, Materials Project).

abc: 9.7681 23.3979 7.3461
angles: 90.00 92.11 90.00
Closest atoms and distances in Å follow each position.
Space group P2_1/c (No. 14)
Unique sites:
Ca  0.0988  0.0651  0.1621 (multiplicity 4)  2 O 2.37-2.42, 4 N 2.38-2.56
Hg  0.3848  0.6642  0.8900 (multiplicity 4)  4 S 2.58-2.65
C  0.0633  0.6518  0.0173 (multiplicity 4)  1 N 1.18
C  0.2092  0.6285  0.5094 (multiplicity 4)  1 N 1.18
C  0.3140  0.5313  0.9047 (multiplicity 4)  1 N 1.18
C  0.3291  0.1682  0.3753 (multiplicity 4)  1 N 1.18
S  0.1477  0.7081  0.9464 (multiplicity 4)  1 C 1.65
S  0.3679  0.6506  0.5321 (multiplicity 4)  1 C 1.64
S  0.3846  0.2135  0.5328 (multiplicity 4)  1 C 1.65
S  0.4087  0.5661  0.0571 (multiplicity 4)  1 C 1.64
N  0.0013  0.1133  0.4279 (multiplicity 4)  1 C 1.18
N  0.0945  0.6136  0.4851 (multiplicity 4)  1 C 1.18
N  0.2485  0.5043  0.7978 (multiplicity 4)  1 C 1.18
N  0.2840  0.1368  0.2626 (multiplicity 4)  1 C 1.18
O  0.0787  0.0018  0.9021 (multiplicity 4)  1 O 2.14, 1 Ca 2.37
O  0.2112  0.1344  0.8542 (multiplicity 4)  1 O 1.24
O  0.2806  0.0903  0.8476 (multiplicity 4)  1 O 1.24

Spin magnetization ... 0.0522 μB per atom
E_form ... -0.096 eV per atom
Theoretical density ... 2.06 g/cm3
Calculated volume ... 419.46 Å³/f.u.

---

# 3
# SiC

A geometry-optimized SiC structure (PBE-GGA, Materials Project).

abc: 3.0921 3.0921 129.0641
angles: 90.00 90.00 120.00
Closest atoms and distances in Å follow each position.
Space group R3m (No. 160, hexagonal axes)
Unique sites:
Si  0.0000  0.0000  0.0000 (multiplicity 3)  4 C 1.89-1.90
Si  0.0000  0.0000  0.0393 (multiplicity 3)  4 C 1.89-1.90
Si  0.0000  0.0000  0.0785 (multiplicity 3)  4 C 1.89-1.90
Si  0.0000  0.0000  0.1177 (multiplicity 3)  4 C 1.89-1.90
Si  0.0000  0.0000  0.1568 (multiplicity 3)  4 C 1.89
Si  0.0000  0.0000  0.1960 (multiplicity 3)  4 C 1.89-1.90
Si  0.0000  0.0000  0.2744 (multiplicity 3)  4 C 1.89-1.90
Si  0.0000  0.0000  0.3530 (multiplicity 3)  4 C 1.89-1.91
Si  0.0000  0.0000  0.4314 (multiplicity 3)  4 C 1.89-1.90
Si  0.0000  0.0000  0.5097 (multiplicity 3)  4 C 1.90
Si  0.0000  0.0000  0.5685 (multiplicity 3)  4 C 1.89-1.90
Si  0.0000  0.0000  0.6470 (multiplicity 3)  4 C 1.89-1.91
Si  0.0000  0.0000  0.7255 (multiplicity 3)  4 C 1.89-1.90
Si  0.0000  0.0000  0.8040 (multiplicity 3)  4 C 1.89-1.90
Si  0.0000  0.0000  0.8823 (multiplicity 3)  4 C 1.89-1.90
Si  0.0000  0.0000  0.9215 (multiplicity 3)  4 C 1.89-1.90
Si  0.0000  0.0000  0.9607 (multiplicity 3)  4 C 1.89-1.90
C  0.0000  0.0000  0.0246 (multiplicity 3)  4 Si 1.89-1.90
C  0.0000  0.0000  0.0638 (multiplicity 3)  4 Si 1.89-1.90
C  0.0000  0.0000  0.1030 (multiplicity 3)  4 Si 1.89-1.90
C  0.0000  0.0000  0.1421 (multiplicity 3)  4 Si 1.89
C  0.0000  0.0000  0.1813 (multiplicity 3)  4 Si 1.90
C  0.0000  0.0000  0.2597 (multiplicity 3)  4 Si 1.89-1.90
C  0.0000  0.0000  0.3382 (multiplicity 3)  4 Si 1.89-1.91
C  0.0000  0.0000  0.4167 (multiplicity 3)  4 Si 1.89-1.90
C  0.0000  0.0000  0.4949 (multiplicity 3)  4 Si 1.89-1.90
C  0.0000  0.0000  0.5538 (multiplicity 3)  4 Si 1.89-1.90
C  0.0000  0.0000  0.6322 (multiplicity 3)  4 Si 1.89-1.91
C  0.0000  0.0000  0.7108 (multiplicity 3)  4 Si 1.89-1.90
C  0.0000  0.0000  0.7892 (multiplicity 3)  4 Si 1.89-1.90
C  0.0000  0.0000  0.8676 (multiplicity 3)  4 Si 1.89-1.90
C  0.0000  0.0000  0.9068 (multiplicity 3)  4 Si 1.89-1.90
C  0.0000  0.0000  0.9460 (multiplicity 3)  4 Si 1.89-1.90
C  0.0000  0.0000  0.9853 (multiplicity 3)  4 Si 1.89-1.90

E_form ... -0.172 eV per atom
Distance to the lowest polymorph of the same formula ... 32 meV/atom
Theoretical density ... 3.18 g/cm3
Calculated volume ... 20.95 Å³/f.u.

---

# 4
# Ce2Si6Pd21

A geometry-optimized Ce2Si6Pd21 structure (PBE-GGA, Materials Project).

abc: 12.2782 12.2782 12.2782
angles: 90.00 90.00 90.00
Closest atoms and distances in Å follow each position.
Space group Fm-3m (No. 225)
Unique sites:
Ce  0.2500  0.2500  0.2500 (multiplicity 8)  4 Pd 2.84
Si  0.0000  0.0000  0.2368 (multiplicity 24)  8 Pd 2.39-2.50
Pd  0.0000  0.0000  0.5000 (multiplicity 4)  12 Pd 3.00, 6 Si 3.23
Pd  0.0000  0.1726  0.3274 (multiplicity 48)  2 Si 2.39
Pd  0.1165  0.1165  0.1165 (multiplicity 32)  3 Si 2.50

Spin magnetization ... 0.0375 μB per atom
E_form ... -0.716 eV per atom
Theoretical density ... 9.63 g/cm3
Calculated volume ... 462.75 Å³/f.u.